This record from Materials Project describes LiCo7O7F after structural relaxation. The functional is PBE with a Hubbard U.

As for the crystal system: trigonal. As for the uncorrected energy: -94.81 eV for the cell shown. The value obtained for the calculated formation energy is -140.7 kJ per mole of atoms.

Unit cell a=3.290 b=3.290 c=20.873 alpha=90.00 beta=90.00 gamma=120.00
Fractional positions:
Li: 0.333 0.667 0.841
Co: 0.333 0.667 0.346
Co: 0.333 0.667 0.096
Co: 0.333 0.667 0.597
Co: 0.667 0.333 0.221
Co: 0.667 0.333 0.722
Co: 0.667 0.333 0.471
Co: 0.667 0.333 0.972
O: 0.333 0.667 0.999
O: 0.333 0.667 0.249
O: 0.333 0.667 0.751
O: 0.333 0.667 0.500
O: 0.667 0.333 0.374
O: 0.667 0.333 0.123
O: 0.667 0.333 0.624
F: 0.667 0.333 0.876